# PrHoTl2, relaxed, DFT meta-GGA r2SCAN
# Space-group type: Fm-3m, No. 225
data_PrHoTl2
_symmetry_space_group_name_H-M 'P 1'
_symmetry_Int_Tables_number 1
_cell_length_a 5.429
_cell_length_b 5.429
_cell_length_c 5.429
_cell_angle_alpha 60.00
_cell_angle_beta 60.00
_cell_angle_gamma 60.00
loop_
_symmetry_equiv_pos_as_xyz
'x,y,z'
loop_
_atom_site_label
_atom_site_fract_x
_atom_site_fract_y
_atom_site_fract_z
_atom_site_occupancy
Pr1 0.000 0.000 0.000 1
Ho1 0.500 0.500 0.500 1
Tl1 0.250 0.250 0.250 1
Tl2 0.750 0.750 0.750 1

=====

# Cd4P2Cl3, relaxed, DFT meta-GGA r2SCAN
# Space-group type: Pa-3, No. 205
data_Cd4P2Cl3
_symmetry_space_group_name_H-M 'P 1'
_symmetry_Int_Tables_number 1
_cell_length_a 12.245
_cell_length_b 12.245
_cell_length_c 12.245
_cell_angle_alpha 90.00
_cell_angle_beta 90.00
_cell_angle_gamma 90.00
loop_
_symmetry_equiv_pos_as_xyz
'x,y,z'
loop_
_atom_site_label
_atom_site_fract_x
_atom_site_fract_y
_atom_site_fract_z
_atom_site_occupancy
Cd1 0.013 0.250 0.029 1
Cd2 0.013 0.250 0.529 1
Cd3 0.029 0.013 0.250 1
Cd4 0.029 0.487 0.750 1
Cd5 0.223 0.723 0.777 1
Cd6 0.223 0.777 0.277 1
Cd7 0.250 0.029 0.013 1
Cd8 0.250 0.471 0.513 1
Cd9 0.250 0.529 0.013 1
Cd10 0.250 0.971 0.513 1
Cd11 0.277 0.223 0.777 1
Cd12 0.277 0.277 0.277 1
Cd13 0.471 0.513 0.250 1
Cd14 0.471 0.987 0.750 1
Cd15 0.487 0.750 0.029 1
Cd16 0.487 0.750 0.529 1
Cd17 0.513 0.250 0.471 1
Cd18 0.513 0.250 0.971 1
Cd19 0.529 0.013 0.250 1
Cd20 0.529 0.487 0.750 1
Cd21 0.723 0.723 0.723 1
Cd22 0.723 0.777 0.223 1
Cd23 0.750 0.029 0.487 1
Cd24 0.750 0.471 0.987 1
Cd25 0.750 0.529 0.487 1
Cd26 0.750 0.971 0.987 1
Cd27 0.777 0.223 0.723 1
Cd28 0.777 0.277 0.223 1
Cd29 0.971 0.513 0.250 1
Cd30 0.971 0.987 0.750 1
Cd31 0.987 0.750 0.471 1
Cd32 0.987 0.750 0.971 1
P1 0.051 0.051 0.051 1
P2 0.051 0.449 0.551 1
P3 0.106 0.606 0.894 1
P4 0.106 0.894 0.394 1
P5 0.394 0.106 0.894 1
P6 0.394 0.394 0.394 1
P7 0.449 0.551 0.051 1
P8 0.449 0.949 0.551 1
P9 0.551 0.051 0.449 1
P10 0.551 0.449 0.949 1
P11 0.606 0.606 0.606 1
P12 0.606 0.894 0.106 1
P13 0.894 0.106 0.606 1
P14 0.894 0.394 0.106 1
P15 0.949 0.551 0.449 1
P16 0.949 0.949 0.949 1
Cl1 0.071 0.230 0.316 1
Cl2 0.071 0.270 0.816 1
Cl3 0.184 0.571 0.230 1
Cl4 0.184 0.929 0.730 1
Cl5 0.230 0.184 0.571 1
Cl6 0.230 0.316 0.071 1
Cl7 0.270 0.684 0.571 1
Cl8 0.270 0.816 0.071 1
Cl9 0.316 0.071 0.230 1
Cl10 0.316 0.429 0.730 1
Cl11 0.429 0.730 0.316 1
Cl12 0.429 0.770 0.816 1
Cl13 0.571 0.230 0.184 1
Cl14 0.571 0.270 0.684 1
Cl15 0.684 0.571 0.270 1
Cl16 0.684 0.929 0.770 1
Cl17 0.730 0.184 0.929 1
Cl18 0.730 0.316 0.429 1
Cl19 0.770 0.684 0.929 1
Cl20 0.770 0.816 0.429 1
Cl21 0.816 0.071 0.270 1
Cl22 0.816 0.429 0.770 1
Cl23 0.929 0.730 0.184 1
Cl24 0.929 0.770 0.684 1

=====

# Eu2B4Rh5, relaxed, DFT meta-GGA r2SCAN
# Space-group type: Fmmm, No. 69
data_Eu2B4Rh5
_symmetry_space_group_name_H-M 'P 1'
_symmetry_Int_Tables_number 1
_cell_length_a 7.507
_cell_length_b 6.263
_cell_length_c 5.682
_cell_angle_alpha 77.70
_cell_angle_beta 54.60
_cell_angle_gamma 47.69
loop_
_symmetry_equiv_pos_as_xyz
'x,y,z'
loop_
_atom_site_label
_atom_site_fract_x
_atom_site_fract_y
_atom_site_fract_z
_atom_site_occupancy
Eu1 0.143 0.143 0.857 1
Eu2 0.857 0.857 0.143 1
B1 0.208 0.533 0.467 1
B2 0.467 0.792 0.208 1
B3 0.533 0.208 0.792 1
B4 0.792 0.467 0.533 1
Rh1 0.000 0.000 0.500 1
Rh2 0.250 0.250 0.250 1
Rh3 0.500 0.500 0.000 1
Rh4 0.500 0.500 0.500 1
Rh5 0.750 0.750 0.750 1

=====

# NdSmTl2, relaxed, DFT meta-GGA r2SCAN
# Space-group type: Fm-3m, No. 225
data_NdSmTl2
_symmetry_space_group_name_H-M 'P 1'
_symmetry_Int_Tables_number 1
_cell_length_a 5.470
_cell_length_b 5.470
_cell_length_c 5.470
_cell_angle_alpha 60.00
_cell_angle_beta 60.00
_cell_angle_gamma 60.00
loop_
_symmetry_equiv_pos_as_xyz
'x,y,z'
loop_
_atom_site_label
_atom_site_fract_x
_atom_site_fract_y
_atom_site_fract_z
_atom_site_occupancy
Nd1 0.000 0.000 0.000 1
Sm1 0.500 0.500 0.500 1
Tl1 0.250 0.250 0.250 1
Tl2 0.750 0.750 0.750 1

=====

| no. | energy relative to the elements (eV per atom) |
| --- | --- |
| 1 | -0.458 |
| 2 | -0.734 |
| 3 | -0.706 |
| 4 | -0.499 |